Entry 1:
# Ba3AlSb3 PBE optimized geometry
# Volume   1111.8 Å³ per cell
# Energy   -4.04 eV per atom
data_Ba3AlSb3
_space_group_name_H-M_alt 'P 1'
_space_group_IT_number 1
_cell_length_a 11.302
_cell_length_b 11.302
_cell_length_c 14.271
_cell_angle_alpha 90.00
_cell_angle_beta 90.00
_cell_angle_gamma 37.58
loop_
_space_group_symop_operation_xyz
'x,y,z'
loop_
_atom_site_label
_atom_site_type_symbol
_atom_site_fract_x
_atom_site_fract_y
_atom_site_fract_z
Ba1 Ba 0.021 0.630 0.129
Ba2 Ba 0.130 0.521 0.629
Ba3 Ba 0.186 0.814 0.853
Ba4 Ba 0.314 0.686 0.353
Ba5 Ba 0.370 0.979 0.129
Ba6 Ba 0.479 0.870 0.629
Ba7 Ba 0.521 0.130 0.371
Ba8 Ba 0.630 0.021 0.871
Ba9 Ba 0.686 0.314 0.647
Ba10 Ba 0.814 0.186 0.147
Ba11 Ba 0.870 0.479 0.371
Ba12 Ba 0.979 0.370 0.871
Al1 Al 0.085 0.085 0.500
Al2 Al 0.415 0.415 0.000
Al3 Al 0.585 0.585 0.000
Al4 Al 0.915 0.915 0.500
Sb1 Sb 0.041 0.641 0.380
Sb2 Sb 0.141 0.541 0.880
Sb3 Sb 0.204 0.796 0.602
Sb4 Sb 0.296 0.704 0.102
Sb5 Sb 0.359 0.959 0.380
Sb6 Sb 0.459 0.859 0.880
Sb7 Sb 0.541 0.141 0.120
Sb8 Sb 0.641 0.041 0.620
Sb9 Sb 0.704 0.296 0.898
Sb10 Sb 0.796 0.204 0.398
Sb11 Sb 0.859 0.459 0.120
Sb12 Sb 0.959 0.359 0.620

---

Entry 2:
# HoCoC PBE optimized geometry
# Distance to the lowest polymorph of the same formula   0.0 meV per atom
# Volume   89.5 Å³ per cell
data_HoCoC
_space_group_name_H-M_alt 'P 1'
_space_group_IT_number 1
_cell_length_a 3.616
_cell_length_b 3.616
_cell_length_c 6.847
_cell_angle_alpha 90.00
_cell_angle_beta 90.00
_cell_angle_gamma 90.00
loop_
_space_group_symop_operation_xyz
'x,y,z'
loop_
_atom_site_label
_atom_site_type_symbol
_atom_site_fract_x
_atom_site_fract_y
_atom_site_fract_z
Ho1 Ho 0.000 0.000 0.250
Ho2 Ho 0.000 0.000 0.750
Co1 Co 0.500 0.500 0.000
Co2 Co 0.500 0.500 0.500
C1 C 0.000 0.500 0.000
C2 C 0.500 0.000 0.500

---

Entry 3:
# SrFe2S4 PBE optimized geometry
# Distance to the lowest polymorph of the same formula   0.0 meV per atom
# Volume   150.8 Å³ per cell
# Magnetic moment   2.6 μB/f.u.
data_SrFe2S4
_space_group_name_H-M_alt 'P 1'
_space_group_IT_number 1
_cell_length_a 5.955
_cell_length_b 5.955
_cell_length_c 5.955
_cell_angle_alpha 101.45
_cell_angle_beta 101.45
_cell_angle_gamma 127.09
loop_
_space_group_symop_operation_xyz
'x,y,z'
loop_
_atom_site_label
_atom_site_type_symbol
_atom_site_fract_x
_atom_site_fract_y
_atom_site_fract_z
Sr1 Sr 0.000 0.000 0.000
Fe1 Fe 0.000 0.500 0.500
Fe2 Fe 0.500 0.000 0.500
S1 S 0.091 0.591 0.183
S2 S 0.409 0.909 0.817
S3 S 0.591 0.409 0.500
S4 S 0.909 0.091 0.500

---

Entry 4:
# LaCuO2 PBE optimized geometry
# Volume   73.1 Å³ per cell
# Energy   -7.08 eV per atom
data_LaCuO2
_space_group_name_H-M_alt 'P 1'
_space_group_IT_number 1
_cell_length_a 6.094
_cell_length_b 6.094
_cell_length_c 6.094
_cell_angle_alpha 36.90
_cell_angle_beta 36.90
_cell_angle_gamma 36.90
loop_
_space_group_symop_operation_xyz
'x,y,z'
loop_
_atom_site_label
_atom_site_type_symbol
_atom_site_fract_x
_atom_site_fract_y
_atom_site_fract_z
La1 La 0.000 0.000 0.000
Cu1 Cu 0.500 0.500 0.500
O1 O 0.393 0.393 0.393
O2 O 0.607 0.607 0.607

---

Entry 5:
# MgZr PBE optimized geometry
# Volume   45.0 Å³ per cell
# Magnetic moment   0.0 μB/f.u.
# Energy   -5.02 eV per atom
data_MgZr
_space_group_name_H-M_alt 'P 1'
_space_group_IT_number 1
_cell_length_a 5.805
_cell_length_b 5.805
_cell_length_c 5.805
_cell_angle_alpha 30.62
_cell_angle_beta 30.62
_cell_angle_gamma 30.62
loop_
_space_group_symop_operation_xyz
'x,y,z'
loop_
_atom_site_label
_atom_site_type_symbol
_atom_site_fract_x
_atom_site_fract_y
_atom_site_fract_z
Mg1 Mg 0.000 0.000 0.000
Zr1 Zr 0.500 0.500 0.500

---

Entry 6:
# BaCd3Ga PBE optimized geometry
# Volume   139.5 Å³ per cell
# Energy   -1.84 eV per atom
data_BaCd3Ga
_space_group_name_H-M_alt 'P 1'
_space_group_IT_number 1
_cell_length_a 6.746
_cell_length_b 6.746
_cell_length_c 6.746
_cell_angle_alpha 137.30
_cell_angle_beta 137.30
_cell_angle_gamma 61.98
loop_
_space_group_symop_operation_xyz
'x,y,z'
loop_
_atom_site_label
_atom_site_type_symbol
_atom_site_fract_x
_atom_site_fract_y
_atom_site_fract_z
Ba1 Ba 0.000 0.000 0.000
Cd1 Cd 0.238 0.738 0.500
Cd2 Cd 0.383 0.383 0.000
Cd3 Cd 0.738 0.238 0.500
Ga1 Ga 0.618 0.618 0.000

---

Entry 7:
# FeB4 PBE optimized geometry
# Volume   71.8 Å³ per cell
# Energy   -7.21 eV per atom
data_FeB4
_space_group_name_H-M_alt 'P 1'
_space_group_IT_number 1
_cell_length_a 4.521
_cell_length_b 5.290
_cell_length_c 3.005
_cell_angle_alpha 90.00
_cell_angle_beta 90.00
_cell_angle_gamma 90.00
loop_
_space_group_symop_operation_xyz
'x,y,z'
loop_
_atom_site_label
_atom_site_type_symbol
_atom_site_fract_x
_atom_site_fract_y
_atom_site_fract_z
Fe1 Fe 0.000 0.000 0.000
Fe2 Fe 0.500 0.500 0.500
B1 B 0.160 0.374 0.000
B2 B 0.249 0.688 0.000
B3 B 0.251 0.188 0.500
B4 B 0.340 0.874 0.500
B5 B 0.660 0.126 0.500
B6 B 0.749 0.812 0.500
B7 B 0.751 0.312 0.000
B8 B 0.840 0.626 0.000

---

Entry 8:
# LiCuHSO5 PBE optimized geometry
# Volume   196.9 Å³ per cell
# Magnetic moment   1.0 μB/f.u.
# Energy   -5.53 eV per atom
data_LiCuHSO5
_space_group_name_H-M_alt 'P 1'
_space_group_IT_number 1
_cell_length_a 4.417
_cell_length_b 5.824
_cell_length_c 7.791
_cell_angle_alpha 90.00
_cell_angle_beta 100.79
_cell_angle_gamma 90.00
loop_
_space_group_symop_operation_xyz
'x,y,z'
loop_
_atom_site_label
_atom_site_type_symbol
_atom_site_fract_x
_atom_site_fract_y
_atom_site_fract_z
Li1 Li 0.032 0.250 0.152
Li2 Li 0.968 0.750 0.848
Cu1 Cu 0.000 0.000 0.500
Cu2 Cu 0.000 0.500 0.500
H1 H 0.410 0.750 0.649
H2 H 0.590 0.250 0.351
S1 S 0.447 0.750 0.229
S2 S 0.553 0.250 0.771
O1 O 0.187 0.750 0.643
O2 O 0.260 0.540 0.240
O3 O 0.260 0.960 0.240
O4 O 0.312 0.250 0.596
O5 O 0.403 0.250 0.921
O6 O 0.597 0.750 0.079
O7 O 0.688 0.750 0.404
O8 O 0.740 0.040 0.760
O9 O 0.740 0.460 0.760
O10 O 0.813 0.250 0.357

---

Entry 9:
# LiAl2H6ClO6 PBE optimized geometry
# Volume   329.4 Å³ per cell
# Magnetic moment   0.0 μB/f.u.
# Energy   -5.62 eV per atom
data_LiAl2H6ClO6
_space_group_name_H-M_alt 'P 1'
_space_group_IT_number 1
_cell_length_a 5.160
_cell_length_b 5.160
_cell_length_c 14.285
_cell_angle_alpha 90.00
_cell_angle_beta 90.00
_cell_angle_gamma 120.00
loop_
_space_group_symop_operation_xyz
'x,y,z'
loop_
_atom_site_label
_atom_site_type_symbol
_atom_site_fract_x
_atom_site_fract_y
_atom_site_fract_z
Li1 Li 0.000 0.000 0.000
Li2 Li 0.000 0.000 0.500
Al1 Al 0.333 0.667 0.000
Al2 Al 0.333 0.667 0.500
Al3 Al 0.667 0.333 0.000
Al4 Al 0.667 0.333 0.500
H1 H 0.000 0.311 0.133
H2 H 0.000 0.311 0.367
H3 H 0.000 0.689 0.633
H4 H 0.000 0.689 0.867
H5 H 0.311 0.000 0.133
H6 H 0.311 0.000 0.367
H7 H 0.311 0.311 0.633
H8 H 0.311 0.311 0.867
H9 H 0.689 0.000 0.633
H10 H 0.689 0.000 0.867
H11 H 0.689 0.689 0.133
H12 H 0.689 0.689 0.367
Cl1 Cl 0.000 0.000 0.250
Cl2 Cl 0.000 0.000 0.750
O1 O 0.000 0.368 0.068
O2 O 0.000 0.368 0.432
O3 O 0.000 0.632 0.568
O4 O 0.000 0.632 0.932
O5 O 0.368 0.000 0.068
O6 O 0.368 0.000 0.432
O7 O 0.368 0.368 0.568
O8 O 0.368 0.368 0.932
O9 O 0.632 0.000 0.568
O10 O 0.632 0.000 0.932
O11 O 0.632 0.632 0.068
O12 O 0.632 0.632 0.432

---

Entry 10:
# FeSiAg2S4 PBE optimized geometry
# Volume   337.0 Å³ per cell
# Magnetic moment   4.0 μB/f.u.
# Energy   -4.86 eV per atom
data_FeSiAg2S4
_space_group_name_H-M_alt 'P 1'
_space_group_IT_number 1
_cell_length_a 6.446
_cell_length_b 6.639
_cell_length_c 10.136
_cell_angle_alpha 90.00
_cell_angle_beta 129.03
_cell_angle_gamma 90.00
loop_
_space_group_symop_operation_xyz
'x,y,z'
loop_
_atom_site_label
_atom_site_type_symbol
_atom_site_fract_x
_atom_site_fract_y
_atom_site_fract_z
Fe1 Fe 0.000 0.184 0.000
Fe2 Fe 0.000 0.816 0.500
Si1 Si 0.755 0.314 0.254
Si2 Si 0.755 0.686 0.754
Ag1 Ag 0.258 0.351 0.760
Ag2 Ag 0.258 0.649 0.260
Ag3 Ag 0.492 0.180 0.507
Ag4 Ag 0.492 0.820 0.007
S1 S 0.074 0.156 0.481
S2 S 0.074 0.844 0.981
S3 S 0.403 0.300 0.237
S4 S 0.403 0.700 0.737
S5 S 0.668 0.182 0.030
S6 S 0.668 0.818 0.530
S7 S 0.869 0.375 0.769
S8 S 0.869 0.625 0.269

---

Entry 11:
# MnCo3N3 PBE optimized geometry
# Volume   134.1 Å³ per cell
# Magnetic moment   1.0 μB/f.u.
# Energy   -7.78 eV per atom
data_MnCo3N3
_space_group_name_H-M_alt 'P 1'
_space_group_IT_number 1
_cell_length_a 5.996
_cell_length_b 3.794
_cell_length_c 6.432
_cell_angle_alpha 90.00
_cell_angle_beta 113.61
_cell_angle_gamma 90.00
loop_
_space_group_symop_operation_xyz
'x,y,z'
loop_
_atom_site_label
_atom_site_type_symbol
_atom_site_fract_x
_atom_site_fract_y
_atom_site_fract_z
Mn1 Mn 0.116 0.250 0.336
Mn2 Mn 0.884 0.750 0.664
Co1 Co 0.214 0.250 0.829
Co2 Co 0.325 0.750 0.123
Co3 Co 0.417 0.750 0.621
Co4 Co 0.583 0.250 0.379
Co5 Co 0.675 0.250 0.877
Co6 Co 0.786 0.750 0.171
N1 N 0.215 0.750 0.786
N2 N 0.241 0.250 0.130
N3 N 0.373 0.250 0.607
N4 N 0.627 0.750 0.393
N5 N 0.759 0.750 0.870
N6 N 0.785 0.250 0.214

---

Entry 12:
# Hf2H2Pd PBE optimized geometry
# Volume   63.3 Å³ per cell
# Magnetic moment   0.0 μB/f.u.
# Energy   -6.91 eV per atom
data_Hf2H2Pd
_space_group_name_H-M_alt 'P 1'
_space_group_IT_number 1
_cell_length_a 6.452
_cell_length_b 6.452
_cell_length_c 6.452
_cell_angle_alpha 150.91
_cell_angle_beta 150.91
_cell_angle_gamma 41.61
loop_
_space_group_symop_operation_xyz
'x,y,z'
loop_
_atom_site_label
_atom_site_type_symbol
_atom_site_fract_x
_atom_site_fract_y
_atom_site_fract_z
Hf1 Hf 0.141 0.141 0.000
Hf2 Hf 0.859 0.859 0.000
H1 H 0.250 0.750 0.500
H2 H 0.750 0.250 0.500
Pd1 Pd 0.500 0.500 0.000